1.
96
Lattice="11.187 0.000 0.000 0.000 11.187 0.000 0.000 0.000 11.187" Properties=species:S:1:pos:R:3 comment="Na7VN4 PBE optimized geometry" space_group="Pa-3 (205)" corrected_energy_ev_per_atom=-4.59 magmom_total_mub_per_fu=0.0 ef_ev_per_atom=-0.286 pbc="T T T"
Na 1.048 1.671 9.867
Na 1.048 3.923 4.273
Na 1.303 1.304 7.119
Na 1.303 4.289 1.525
Na 1.304 7.119 1.303
Na 1.304 9.662 6.896
Na 1.320 6.642 3.923
Na 1.320 10.139 9.516
Na 1.496 1.496 1.496
Na 1.496 4.097 7.090
Na 1.525 1.303 4.289
Na 1.525 4.291 9.883
Na 1.671 6.914 6.642
Na 1.671 9.867 1.048
Na 3.923 1.320 6.642
Na 3.923 4.273 1.048
Na 4.068 6.896 4.289
Na 4.068 9.885 9.883
Na 4.097 7.090 1.496
Na 4.097 9.691 7.090
Na 4.273 1.048 3.923
Na 4.273 4.546 9.516
Na 4.289 1.525 1.303
Na 4.289 4.068 6.896
Na 4.291 6.898 7.119
Na 4.291 9.883 1.525
Na 4.546 7.265 9.867
Na 4.546 9.516 4.273
Na 6.642 1.671 6.914
Na 6.642 3.923 1.320
Na 6.896 1.304 9.662
Na 6.896 4.289 4.068
Na 6.898 7.119 4.291
Na 6.898 9.662 9.885
Na 6.914 6.642 1.671
Na 6.914 10.139 7.265
Na 7.090 1.496 4.097
Na 7.090 4.097 9.691
Na 7.119 1.303 1.304
Na 7.119 4.291 6.898
Na 7.265 6.914 10.139
Na 7.265 9.867 4.546
Na 9.516 1.320 10.139
Na 9.516 4.273 4.546
Na 9.662 6.896 1.304
Na 9.662 9.885 6.898
Na 9.691 7.090 4.097
Na 9.691 9.691 9.691
Na 9.867 1.048 1.671
Na 9.867 4.546 7.265
Na 9.883 1.525 4.291
Na 9.883 4.068 9.885
Na 9.885 6.898 9.662
Na 9.885 9.883 4.068
Na 10.139 7.265 6.914
Na 10.139 9.516 1.320
V 1.559 7.152 9.629
V 1.559 9.629 4.035
V 4.035 1.559 9.629
V 4.035 4.035 4.035
V 7.152 7.152 7.152
V 7.152 9.629 1.559
V 9.629 1.559 7.152
V 9.629 4.035 1.559
N 0.392 8.241 10.664
N 0.392 8.540 5.071
N 0.523 5.985 8.540
N 0.523 10.796 2.946
N 2.633 8.227 8.554
N 2.633 8.554 2.961
N 2.647 6.117 10.796
N 2.647 10.664 5.202
N 2.946 0.523 10.796
N 2.946 5.071 5.202
N 2.961 2.633 8.554
N 2.961 2.961 2.961
N 5.071 0.392 8.540
N 5.071 5.202 2.946
N 5.202 2.647 10.664
N 5.202 2.946 5.071
N 5.985 8.241 6.117
N 5.985 8.540 0.523
N 6.117 5.985 8.241
N 6.117 10.796 2.647
N 8.227 8.227 8.227
N 8.227 8.554 2.633
N 8.241 6.117 5.985
N 8.241 10.664 0.392
N 8.540 0.523 5.985
N 8.540 5.071 0.392
N 8.554 2.633 8.227
N 8.554 2.961 2.633
N 10.664 0.392 8.241
N 10.664 5.202 2.647
N 10.796 2.647 6.117
N 10.796 2.946 0.523

---

2.
16
Lattice="2.935 -5.961 0.000 2.935 5.961 0.000 0.000 0.000 6.884" Properties=species:S:1:pos:R:3 comment="NaVN2 PBE optimized geometry" space_group="Cmce (64)" corrected_energy_ev_per_atom=-7.59 ef_ev_per_atom=-0.823 pbc="T T T"
Na 2.935 3.876 6.392
Na 2.935 2.085 2.950
Na 2.935 -2.085 3.934
Na 2.935 -3.876 0.492
V 2.935 5.128 2.452
V 2.935 0.834 5.894
V 2.935 -0.834 0.990
V 2.935 -5.128 4.431
N 2.935 4.986 4.247
N 1.467 1.616 5.163
N 1.467 -1.616 1.721
N 2.935 0.975 0.805
N 2.935 -0.975 6.079
N 4.402 1.616 5.163
N 4.402 -1.616 1.721
N 2.935 -4.986 2.637

---

3.
82
Lattice="6.293 0.000 0.000 -2.583 11.489 0.000 -1.200 -0.832 18.818" Properties=species:S:1:pos:R:3 comment="Na15W7N19 PBE optimized geometry" space_group="P-1 (2)" corrected_energy_ev_per_atom=-7.18 magmom_total_mub_per_fu=0.0 ef_ev_per_atom=-0.625 pbc="T T T"
Na 0.000 0.000 0.000
Na -0.608 1.051 8.471
Na -2.163 6.910 11.972
Na -2.770 9.265 15.755
Na -1.935 10.982 5.608
Na -0.613 4.466 9.757
Na -1.196 8.019 7.442
Na -1.542 6.183 18.706
Na -0.029 5.549 3.655
Na -0.687 6.858 15.711
Na 1.208 2.844 5.560
Na 1.060 1.540 15.136
Na 0.384 3.983 17.236
Na 0.802 5.647 6.851
Na 0.673 9.842 0.101
Na 2.546 -0.416 9.409
Na 1.836 0.816 18.718
Na 1.708 5.011 11.967
Na 2.126 6.674 1.583
Na 1.450 9.117 3.682
Na 1.302 7.813 13.258
Na 3.197 3.800 3.107
Na 2.539 5.109 15.163
Na 4.052 4.475 0.112
Na 3.705 2.638 11.377
Na 3.123 6.191 9.061
Na 4.445 -0.324 13.210
Na 5.279 1.392 3.063
Na 4.673 3.748 6.847
Na 3.117 9.606 10.348
W -1.564 8.485 2.470
W -0.845 4.221 13.621
W 0.466 3.180 1.046
W 0.369 1.422 11.572
W -1.311 9.903 13.047
W 2.222 0.353 2.712
W 0.339 7.987 10.184
W 2.171 2.670 8.635
W 0.287 10.304 16.107
W 3.821 0.754 5.772
W 2.141 9.236 7.246
W 2.044 7.477 17.772
W 3.354 6.437 5.197
W 4.074 2.173 16.348
N -2.945 9.183 13.263
N -0.879 3.789 2.125
N -2.648 10.044 7.860
N -1.449 2.120 18.084
N -1.303 5.902 5.783
N -1.037 3.184 15.273
N -1.273 10.241 3.218
N -0.910 6.793 9.616
N 1.058 1.416 1.654
N -0.035 3.151 12.188
N 0.029 7.664 2.288
N 0.700 3.488 7.923
N 1.096 0.320 12.983
N -0.499 9.168 11.510
N -1.195 10.667 17.071
N 0.251 5.652 13.904
N 1.615 1.588 10.150
N 1.893 4.322 1.012
N -0.231 9.348 14.543
N 2.741 1.310 4.275
N 0.616 6.336 17.806
N 0.895 9.070 8.668
N 2.259 5.005 4.914
N 3.705 -0.009 1.748
N 3.009 1.489 7.308
N 1.413 10.338 5.835
N 1.809 7.170 10.896
N 2.481 2.994 16.531
N 2.544 7.506 6.631
N 1.452 9.242 17.165
N 3.419 3.864 9.202
N 3.783 0.416 15.600
N 3.547 7.474 3.545
N 3.813 4.755 13.035
N 3.958 8.538 0.734
N 5.158 0.614 10.958
N 3.388 6.869 16.693
N 5.455 1.475 5.555

---

4.
20
Lattice="0.000 5.053 10.927 3.633 0.000 10.927 3.633 5.053 0.000" Properties=species:S:1:pos:R:3 comment="Na3YN6 PBE optimized geometry" space_group="Fddd (70)" corrected_energy_ev_per_atom=-4.69 magmom_total_mub_per_fu=12.0 ef_ev_per_atom=1.355 pbc="T T T"
Na 0.908 1.263 2.732
Na 2.725 3.789 4.582
Na 4.541 6.316 10.046
Na 2.725 3.789 11.808
Na 4.541 6.316 17.272
Na 6.357 8.842 19.122
Y 2.725 3.789 8.195
Y 4.541 6.316 13.659
N 4.334 3.648 6.552
N 2.725 1.418 8.195
N 4.334 3.931 9.838
N 6.151 6.457 12.016
N 4.541 3.944 13.659
N 6.151 6.175 15.302
N 1.115 3.931 6.552
N 2.725 6.161 8.195
N 1.115 3.648 9.838
N 2.931 6.175 12.016
N 4.541 8.688 13.659
N 2.931 6.457 15.302

---

5.
48
Lattice="-5.809 5.809 5.809 5.809 -5.809 5.809 5.809 5.809 -5.809" Properties=species:S:1:pos:R:3 comment="Na3YN2 PBE optimized geometry" space_group="Ia-3 (206)" corrected_energy_ev_per_atom=-5.01 magmom_total_mub_per_fu=0.0 ef_ev_per_atom=-0.494 pbc="T T T"
Na 7.634 1.407 -1.270
Na 4.539 -3.984 4.402
Na 4.402 4.539 -3.984
Na 7.078 -1.825 4.402
Na 9.793 1.407 1.270
Na 4.402 -1.270 3.984
Na 4.402 1.270 1.825
Na 3.984 4.402 -1.270
Na 7.078 1.825 1.407
Na 4.402 7.078 -1.825
Na 4.539 3.984 1.407
Na 1.825 4.402 1.270
Na 3.984 1.407 4.539
Na 1.270 1.825 4.402
Na 1.407 -1.270 7.634
Na -1.270 3.984 4.402
Na 1.825 1.407 7.078
Na 1.407 4.539 3.984
Na 1.407 7.078 1.825
Na -3.984 4.402 4.539
Na -1.270 7.634 1.407
Na 1.407 1.270 9.793
Na 1.270 9.793 1.407
Na -1.825 4.402 7.078
Y 4.469 1.339 -1.339
Y 7.148 -1.339 1.339
Y 1.339 1.339 1.339
Y 1.339 -1.339 4.469
Y -1.339 4.469 1.339
Y 1.339 7.148 -1.339
Y -1.339 1.339 7.148
Y 4.469 4.469 4.469
N 0.000 0.000 0.000
N 5.809 0.000 0.000
N 5.809 2.904 -2.455
N 2.904 2.455 0.000
N 2.455 0.000 2.904
N 8.264 0.000 2.904
N 2.904 -2.455 5.809
N 0.000 2.904 2.455
N 0.000 5.809 0.000
N 0.000 0.000 5.809
N 5.809 2.904 3.353
N 2.904 8.264 0.000
N -2.455 5.809 2.904
N 3.353 5.809 2.904
N 2.904 3.353 5.809
N 0.000 2.904 8.264

---

6.
32
Lattice="0.000 5.051 11.853 4.822 0.000 11.853 4.822 5.051 0.000" Properties=species:S:1:pos:R:3 comment="Na3YN4 PBE optimized geometry" space_group="Fddd (70)" corrected_energy_ev_per_atom=-5.64 magmom_total_mub_per_fu=0.0 ef_ev_per_atom=-0.171 pbc="T T T"
Na 0.000 0.000 0.000
Na 2.411 2.526 0.000
Na 2.411 0.000 5.927
Na 5.255 2.492 9.350
Na 7.666 5.018 14.357
Na 5.255 5.084 8.430
Na 1.977 2.492 8.430
Na 0.000 2.526 5.927
Na 7.666 7.610 15.277
Na 4.388 5.018 15.277
Na 1.977 5.084 9.350
Na 4.388 7.610 14.357
Y 4.822 2.526 5.927
Y 2.411 5.051 5.927
Y 2.411 2.526 11.853
Y 4.822 5.051 11.853
N 2.963 2.401 4.442
N 4.789 4.909 5.584
N 6.681 4.926 10.369
N 2.443 2.668 5.584
N 7.200 5.193 11.510
N 4.270 5.176 4.442
N 4.789 2.668 12.197
N 4.270 2.401 13.338
N 5.374 7.702 10.369
N 4.854 7.435 11.510
N 5.374 4.926 19.265
N 2.443 4.909 12.197
N 7.200 7.435 18.123
N 2.963 5.176 13.338
N 4.854 5.193 18.123
N 6.681 7.702 19.265